1.
## HfP3 (GGA-PBE)

Data for an optimized crystal structure of HfP3.

Output
SG: P6_3/mmc (194)
Spin magnetization in Bohr magnetons per cell: 0.0
Energy of formation in eV per atom: -0.182
Total DFT energy (no corrections) in eV per atom: -6.731
Crystal system: hexagonal

Cell lengths 5.5747, 5.5747, 4.9280 Å; angles 90.00, 90.00, 120.00 degrees
Closest atoms and distances in Å follow each position.
Sites, in units of the cell vectors:
Hf  0.3333  0.6667  0.7500  12 P 2.80-2.82
Hf  0.6667  0.3333  0.2500  12 P 2.80-2.82
P  0.1909  0.3818  0.2500  2 P 2.38
P  0.6182  0.8091  0.2500  2 P 2.38
P  0.1909  0.8091  0.2500  2 P 2.38
P  0.8091  0.6182  0.7500  2 P 2.38
P  0.3818  0.1909  0.7500  2 P 2.38
P  0.8091  0.1909  0.7500  2 P 2.38

=====

2.
## HfPRu (GGA-PBE)

Data for an optimized crystal structure of HfPRu.

Output
SG: P-62m (189)
Energy of formation in eV per atom: -1.077
Total DFT energy (no corrections) in eV per atom: -9.292
Crystal system: hexagonal

Cell lengths 3.7928, 6.4358, 6.4358 Å; angles 120.00, 90.00, 90.00 degrees
Closest atoms and distances in Å follow each position.
Sites, in units of the cell vectors:
Hf  0.5000  0.4163  0.0000  5 P 2.68-2.71, 2 Ru 2.88
Hf  0.5000  0.5837  0.5837  5 P 2.68-2.71, 2 Ru 2.88
Hf  0.5000  0.0000  0.4163  5 P 2.68-2.71, 2 Ru 2.88
P  0.0000  0.6667  0.3333  3 Ru 2.47, 6 Hf 2.71
P  0.0000  0.3333  0.6667  3 Ru 2.47, 6 Hf 2.71
P  0.5000  0.0000  0.0000  6 Ru 2.47, 3 Hf 2.68
Ru  0.0000  0.0000  0.7534  4 P 2.47, 2 Ru 2.75
Ru  0.0000  0.2466  0.2466  4 P 2.47, 2 Ru 2.75
Ru  0.0000  0.7534  0.0000  4 P 2.47, 2 Ru 2.75

=====

3.
## HfP2S6 (GGA-PBE)

Data for an optimized crystal structure of HfP2S6.

Output
Energy above the most stable polymorph in this dataset in eV/f.u.: 0.00
SG: Fdd2 (43)
Energy of formation in eV per atom: -1.018
Total DFT energy (no corrections) in eV per atom: -5.749
Crystal system: orthorhombic
Largest piezoelectric modulus in C/m²: 0.16

Cell lengths 12.3711, 11.6619, 7.1391 Å; angles 78.25, 67.35, 34.40 degrees
Closest atoms and distances in Å follow each position.
Sites, in units of the cell vectors:
Hf  0.3510  0.3510  0.1490  6 S 2.54-2.57
Hf  0.1010  0.1010  0.8990  6 S 2.54-2.57
P  0.1427  0.2317  0.4813  3 S 2.03-2.05
P  0.7687  0.1058  0.1073  3 S 2.03-2.05
P  0.1058  0.7687  0.0183  3 S 2.03-2.05
P  0.2317  0.1427  0.1442  3 S 2.03-2.05
S  0.6876  0.1674  0.8651  1 P 2.04
S  0.1674  0.6876  0.2799  1 P 2.04
S  0.0776  0.4605  0.4732  1 P 2.05
S  0.4605  0.0776  0.9886  1 P 2.05
S  0.2614  0.7768  0.7895  1 P 2.05
S  0.7768  0.2614  0.1724  1 P 2.05
S  0.3457  0.8876  0.0901  1 P 2.03
S  0.8876  0.3457  0.6766  1 P 2.03
S  0.5734  0.1599  0.3624  1 P 2.03
S  0.1599  0.5734  0.9043  1 P 2.03
S  0.3849  0.9701  0.5624  1 P 2.04
S  0.9701  0.3849  0.0826  1 P 2.04

=====

4.
## HfP2S6 (GGA-PBE)

Data for an optimized crystal structure of HfP2S6.

Output
Energy above the most stable polymorph in this dataset in eV/f.u.: 0.14
SG: P1 (1)
Spin magnetization in Bohr magnetons per cell: 0.0
Energy of formation in eV per atom: -1.003
Total DFT energy (no corrections) in eV per atom: -5.734
Crystal system: triclinic

Cell lengths 12.3711, 11.6619, 7.1391 Å; angles 78.25, 67.35, 34.40 degrees
Closest atoms and distances in Å follow each position.
Sites, in units of the cell vectors:
Hf  0.8578  0.8433  0.1471  6 S 2.47-2.58
Hf  0.1066  0.0962  0.4017  6 S 2.54-2.62
P  0.5165  0.8614  0.3541  3 S 2.02-2.04
P  0.8879  0.9824  0.7327  3 S 2.01-2.10
P  0.9879  0.8867  0.3881  3 S 2.01-2.07
P  0.8604  0.5128  0.2717  3 S 2.00-2.06
S  0.1375  0.7170  0.8181  1 P 2.10
S  0.7156  0.1350  0.3359  1 P 2.07
S  0.5297  0.0124  0.4167  1 P 2.04
S  0.0043  0.5342  0.0430  1 P 2.06
S  0.2048  0.8329  0.2360  1 P 2.01
S  0.8253  0.2111  0.7309  1 P 2.07
S  0.9159  0.3176  0.1480  1 P 2.05
S  0.3294  0.9058  0.6140  1 P 2.04
S  0.6352  0.0975  0.9343  1 P 2.01
S  0.0967  0.6358  0.3332  1 P 2.02
S  0.4332  0.9247  0.1153  1 P 2.02
S  0.9099  0.4436  0.5347  1 P 2.00

=====

5.
## Hf2SbP (GGA-PBE)

Data for an optimized crystal structure of Hf2SbP.

Output
SG: P6_3/mmc (194)
Energy of formation in eV per atom: -0.982
Total DFT energy (no corrections) in eV per atom: -8.346
Crystal system: hexagonal

Cell lengths 3.8074, 3.8074, 13.2133 Å; angles 90.00, 90.00, 120.00 degrees
Closest atoms and distances in Å follow each position.
Sites, in units of the cell vectors:
Hf  0.6667  0.3333  0.8979  3 P 2.58
Hf  0.3333  0.6667  0.3979  3 P 2.58
Hf  0.6667  0.3333  0.6021  3 P 2.58
Hf  0.3333  0.6667  0.1021  3 P 2.58
Sb  0.3333  0.6667  0.7500  6 Hf 2.94
Sb  0.6667  0.3333  0.2500  6 Hf 2.94
P  0.0000  0.0000  0.0000  6 Hf 2.58
P  0.0000  0.0000  0.5000  6 Hf 2.58

=====

6.
## HfPaTc2 (GGA-PBE)

Data for an optimized crystal structure of HfPaTc2.

Output
SG: Fm-3m (225)
Energy of formation in eV per atom: -0.364
Total DFT energy (no corrections) in eV per atom: -10.412
Crystal system: cubic

Cell lengths 4.7527, 4.7527, 4.7527 Å; angles 60.00, 60.00, 60.00 degrees
Closest atoms and distances in Å follow each position.
Sites, in units of the cell vectors:
Hf  0.5000  0.5000  0.5000  8 Tc 2.91
Pa  0.0000  0.0000  0.0000  8 Tc 2.91
Tc  0.7500  0.7500  0.7500  4 Hf 2.91, 4 Pa 2.91
Tc  0.2500  0.2500  0.2500  4 Hf 2.91, 4 Pa 2.91